An optimized crystal structure of Cs2RbTaF6, computed with PBE-GGA.

a b c (Å): 9.616 9.616 9.616
angles (deg): 90.00 90.00 90.00
Space group Fm-3m (No. 225)
Symmetry-distinct sites (fractional):
1 Cs 0.250 0.250 0.250 [8 per cell]
2 Rb 0.000 0.000 0.000 [4 per cell]
3 Ta 0.000 0.000 0.500 [4 per cell]
4 F 0.000 0.000 0.282 [24 per cell]

Summary:
Its crystal system is cubic. Its total energy is -52.64 eV per formula unit.

---

An optimized crystal structure of Si2BiO6, computed with PBE-GGA.

a b c (Å): 10.240 9.572 5.463
angles (deg): 90.00 109.47 90.00
Space group C2/c (No. 15)
Symmetry-distinct sites (fractional):
1 Si 0.202 0.077 0.232 [8 per cell]
2 Bi 0.000 0.371 0.250 [4 per cell]
3 O 0.125 0.436 0.660 [8 per cell]
4 O 0.148 0.016 0.464 [8 per cell]
5 O 0.154 0.239 0.174 [8 per cell]

Summary:
Its crystal system is monoclinic. Its total energy is -63.41 eV per formula unit.

---

An optimized crystal structure of Na3GeTe3, computed with PBE-GGA.

a b c (Å): 8.913 13.072 9.070
angles (deg): 90.00 119.77 90.00
Space group P2_1/c (No. 14)
Symmetry-distinct sites (fractional):
1 Na 0.006 0.152 0.023 [4 per cell]
2 Na 0.230 0.057 0.529 [4 per cell]
3 Na 0.472 0.731 0.230 [4 per cell]
4 Ge 0.346 0.010 0.965 [4 per cell]
5 Te 0.158 0.624 0.231 [4 per cell]
6 Te 0.249 0.198 0.865 [4 per cell]
7 Te 0.342 0.529 0.745 [4 per cell]

Summary:
Its crystal system is monoclinic. Its total energy is -22.59 eV per formula unit.

---

An optimized crystal structure of HfMoP, computed with PBE-GGA.

a b c (Å): 6.9314 6.9314 3.4144
angles (deg): 90.00 90.00 120.00
Space group P-62m (No. 189)
Symmetry-distinct sites (fractional):
1 Hf 0.0000 0.5967 0.0000 [3 per cell]
2 Mo 0.0000 0.2530 0.5000 [3 per cell]
3 P 0.0000 0.0000 0.0000 [1 per cell]
4 P 0.3333 0.6667 0.5000 [2 per cell]

Summary:
Its crystal system is hexagonal. Its total energy is -29.12 eV per formula unit.

---

An optimized crystal structure of NaNb4Tl3P2O17, computed with PBE-GGA.

a b c (Å): 7.491 21.674 10.094
angles (deg): 90.00 90.00 90.00
Space group Ama2 (No. 40)
Symmetry-distinct sites (fractional):
1 Na 0.000 0.000 0.000 [4 per cell]
2 Nb 0.000 0.000 0.631 [4 per cell]
3 Nb 0.001 0.154 0.440 [8 per cell]
4 Nb 0.250 0.237 0.722 [4 per cell]
5 Tl 0.250 0.028 0.293 [4 per cell]
6 Tl 0.250 0.198 0.116 [4 per cell]
7 Tl 0.250 0.361 0.305 [4 per cell]
8 P 0.250 0.088 0.858 [4 per cell]
9 P 0.250 0.385 0.666 [4 per cell]
10 O 0.041 0.065 0.507 [8 per cell]
11 O 0.063 0.272 0.830 [8 per cell]
12 O 0.068 0.198 0.594 [8 per cell]
13 O 0.076 0.061 0.794 [8 per cell]
14 O 0.080 0.394 0.753 [8 per cell]
15 O 0.250 0.075 0.007 [4 per cell]
16 O 0.250 0.150 0.365 [4 per cell]
17 O 0.250 0.159 0.834 [4 per cell]
18 O 0.250 0.316 0.612 [4 per cell]
19 O 0.250 0.353 0.993 [4 per cell]
20 O 0.250 0.430 0.549 [4 per cell]
21 O 0.250 0.472 0.160 [4 per cell]

Summary:
Its crystal system is orthorhombic. Its total energy is -204.03 eV per formula unit.

---

An optimized crystal structure of MgAl2O4, computed with PBE-GGA.

a b c (Å): 5.7709 5.7709 70.8244
angles (deg): 90.00 90.00 120.00
Space group R3m (No. 160, hexagonal axes)
Symmetry-distinct sites (fractional):
1 Mg 0.0000 0.0000 0.0000 [3 per cell]
2 Mg 0.0000 0.0000 0.0482 [3 per cell]
3 Mg 0.0000 0.0000 0.1990 [3 per cell]
4 Mg 0.0000 0.0000 0.3247 [3 per cell]
5 Mg 0.0000 0.0000 0.3992 [3 per cell]
6 Mg 0.0000 0.0000 0.4489 [3 per cell]
7 Mg 0.0000 0.0000 0.5998 [3 per cell]
8 Mg 0.0000 0.0000 0.7988 [3 per cell]
9 Mg 0.0000 0.0000 0.8492 [3 per cell]
10 Mg 0.0000 0.0000 0.9243 [3 per cell]
11 Al 0.0000 0.0000 0.1238 [3 per cell]
12 Al 0.0000 0.0000 0.2487 [3 per cell]
13 Al 0.0000 0.0000 0.5236 [3 per cell]
14 Al 0.0000 0.0000 0.6480 [3 per cell]
15 Al 0.0000 0.0000 0.7238 [3 per cell]
16 Al 0.0002 0.5001 0.4238 [9 per cell]
17 Al 0.0007 0.5004 0.8239 [9 per cell]
18 Al 0.0053 0.5026 0.2238 [9 per cell]
19 Al 0.0057 0.5028 0.0241 [9 per cell]
20 Al 0.0094 0.5047 0.6240 [9 per cell]
21 O 0.0000 0.0000 0.0765 [3 per cell]
22 O 0.0000 0.0000 0.1714 [3 per cell]
23 O 0.0000 0.0000 0.2749 [3 per cell]
24 O 0.0000 0.0000 0.3720 [3 per cell]
25 O 0.0000 0.0000 0.4768 [3 per cell]
26 O 0.0000 0.0000 0.5715 [3 per cell]
27 O 0.0000 0.0000 0.6740 [3 per cell]
28 O 0.0000 0.0000 0.7713 [3 per cell]
29 O 0.0000 0.0000 0.8776 [3 per cell]
30 O 0.0000 0.0000 0.9720 [3 per cell]
31 O 0.0058 0.5029 0.5724 [9 per cell]
32 O 0.0134 0.5067 0.9723 [9 per cell]
33 O 0.0356 0.5178 0.1732 [9 per cell]
34 O 0.0367 0.5184 0.7732 [9 per cell]
35 O 0.0418 0.5209 0.3729 [9 per cell]
36 O 0.1795 0.3591 0.0099 [9 per cell]
37 O 0.1806 0.3613 0.6093 [9 per cell]
38 O 0.1847 0.3694 0.8083 [9 per cell]
39 O 0.1849 0.3697 0.4084 [9 per cell]
40 O 0.1857 0.3715 0.2080 [9 per cell]

Summary:
Its crystal system is trigonal. Its total energy is -49.64 eV per formula unit.

---

An optimized crystal structure of LiBeAsO5, computed with PBE-GGA.

a b c (Å): 10.506 7.847 4.935
angles (deg): 90.00 90.00 90.00
Space group Pna2_1 (No. 33)
Symmetry-distinct sites (fractional):
1 Li 0.187 0.198 0.000 [4 per cell]
2 Be 0.143 0.386 0.510 [4 per cell]
3 As 0.147 0.605 0.011 [4 per cell]
4 O 0.000 0.307 0.572 [4 per cell]
5 O 0.002 0.128 0.932 [4 per cell]
6 O 0.164 0.416 0.186 [4 per cell]
7 O 0.171 0.568 0.671 [4 per cell]
8 O 0.239 0.240 0.626 [4 per cell]

Summary:
Its crystal system is orthorhombic. Its total energy is -45.98 eV per formula unit.

---

An optimized crystal structure of Li5Cu3Sb2O10, computed with PBE-GGA.

a b c (Å): 5.265 5.513 7.892
angles (deg): 103.61 104.37 104.08
Space group P-1 (No. 2)
Symmetry-distinct sites (fractional):
1 Li 0.000 0.000 0.000 [1 per cell]
2 Li 0.081 0.201 0.693 [2 per cell]
3 Li 0.276 0.610 0.117 [2 per cell]
4 Cu 0.208 0.388 0.398 [2 per cell]
5 Cu 0.500 0.000 0.500 [1 per cell]
6 Sb 0.391 0.805 0.799 [2 per cell]
7 O 0.054 0.610 0.841 [2 per cell]
8 O 0.143 0.832 0.573 [2 per cell]
9 O 0.287 0.979 0.250 [2 per cell]
10 O 0.362 0.162 0.949 [2 per cell]
11 O 0.443 0.469 0.670 [2 per cell]

Summary:
Its crystal system is triclinic. Its total energy is -108.39 eV per formula unit.

---

An optimized crystal structure of BaTe6Mo6, computed with PBE-GGA.

a b c (Å): 9.5903 9.5903 4.6260
angles (deg): 90.00 90.00 120.00
Space group P-6 (No. 174)
Symmetry-distinct sites (fractional):
1 Ba 0.0000 0.0000 0.0000 [1 per cell]
2 Te 0.0386 0.4066 0.0000 [3 per cell]
3 Te 0.2976 0.2694 0.5000 [3 per cell]
4 Mo 0.4924 0.2995 0.0000 [3 per cell]
5 Mo 0.5237 0.1586 0.5000 [3 per cell]

Summary:
Its crystal system is hexagonal. Its total energy is -92.12 eV per formula unit.

---

An optimized crystal structure of Rb2YHgCl6, computed with PBE-GGA.

a b c (Å): 11.162 11.162 11.162
angles (deg): 90.00 90.00 90.00
Space group Fm-3m (No. 225)
Symmetry-distinct sites (fractional):
1 Rb 0.250 0.250 0.250 [8 per cell]
2 Y 0.000 0.000 0.000 [4 per cell]
3 Hg 0.000 0.000 0.500 [4 per cell]
4 Cl 0.000 0.000 0.236 [24 per cell]

Summary:
Its crystal system is cubic. Its total energy is -36.93 eV per formula unit.

---

An optimized crystal structure of SmTmRu2, computed with PBE-GGA.

a b c (Å): 6.824 6.824 6.824
angles (deg): 90.00 90.00 90.00
Space group Fm-3m (No. 225)
Symmetry-distinct sites (fractional):
1 Sm 0.000 0.000 0.000 [4 per cell]
2 Tm 0.000 0.000 0.500 [4 per cell]
3 Ru 0.250 0.250 0.250 [8 per cell]

Summary:
Its crystal system is cubic. Its total energy is -28.88 eV per formula unit.

---

An optimized crystal structure of Li3GeO4, computed with PBE-GGA.

a b c (Å): 11.111 6.392 5.132
angles (deg): 90.00 90.00 90.00
Space group Pnma (No. 62)
Symmetry-distinct sites (fractional):
1 Li 0.078 0.250 0.188 [4 per cell]
2 Li 0.167 0.503 0.810 [8 per cell]
3 Ge 0.086 0.750 0.320 [4 per cell]
4 O 0.066 0.250 0.792 [4 per cell]
5 O 0.086 0.750 0.664 [4 per cell]
6 O 0.163 0.522 0.211 [8 per cell]

Summary:
Its crystal system is orthorhombic. Its total energy is -44.07 eV per formula unit.

---

| no. | ρ (g/cm3) |
| --- | --- |
| 1 | 4.8 |
| 2 | 4.8 |
| 3 | 3.8 |
| 4 | 10.7 |
| 5 | 5.4 |
| 6 | 3.5 |
| 7 | 2.8 |
| 8 | 5.1 |
| 9 | 6.7 |
| 10 | 3.2 |
| 11 | 10.9 |
| 12 | 2.9 |